Record 1
Computed, not measured: crystalline K2MgMo2H4O10 at its relaxed geometry at the GGA+U level of DFT.

Calculated values
Space-group type: No. 2
Spin magnetization in μB per formula unit: 0.00
Formation enthalpy at 0 K in meV per atom: -1997
Crystal system: triclinic

Cell and atoms, written as CIF:
```
data_K2MgMo2H4O10
_symmetry_space_group_name_H-M 'P 1'
_symmetry_Int_Tables_number 1
_symmetry_space_group_name_Hall 'P 1'
_cell_length_a 6.009
_cell_length_b 6.550
_cell_length_c 7.956
_cell_angle_alpha 111.39
_cell_angle_beta 96.77
_cell_angle_gamma 109.07
loop_
_atom_site_label
_atom_site_type_symbol
_atom_site_fract_x
_atom_site_fract_y
_atom_site_fract_z
K1 K 0.331 0.703 0.246
K2 K 0.669 0.297 0.754
Mg1 Mg 0.000 0.000 0.000
Mo1 Mo 0.333 0.665 0.761
Mo2 Mo 0.667 0.335 0.239
H1 H 0.922 0.867 0.284
H2 H 0.078 0.133 0.716
H3 H 0.125 0.128 0.376
H4 H 0.875 0.872 0.624
O1 O 0.361 0.823 0.621
O2 O 0.639 0.177 0.379
O3 O 0.237 0.350 0.616
O4 O 0.763 0.650 0.384
O5 O 0.627 0.762 0.921
O6 O 0.373 0.238 0.079
O7 O 0.109 0.709 0.890
O8 O 0.891 0.291 0.110
O9 O 0.053 0.979 0.258
O10 O 0.947 0.021 0.742
```

=====

Record 2
Computed, not measured: crystalline KMgNi2H3Se2O10 at its relaxed geometry at the GGA+U level of DFT.

Calculated values
Space-group type: No. 1
Spin magnetization in μB per formula unit: 4.00
Formation enthalpy at 0 K in meV per atom: -1434
Crystal system: triclinic

Cell and atoms, written as CIF:
```
data_KMgNi2H3Se2O10
_symmetry_space_group_name_H-M 'P 1'
_symmetry_Int_Tables_number 1
_symmetry_space_group_name_Hall 'P 1'
_cell_length_a 5.953
_cell_length_b 5.953
_cell_length_c 8.575
_cell_angle_alpha 62.09
_cell_angle_beta 62.06
_cell_angle_gamma 65.91
loop_
_atom_site_label
_atom_site_type_symbol
_atom_site_fract_x
_atom_site_fract_y
_atom_site_fract_z
K1 K 0.483 0.484 0.454
Mg1 Mg 0.565 0.566 0.767
Ni1 Ni 0.017 0.510 0.977
Ni2 Ni 0.509 0.017 0.977
H1 H 0.824 0.824 0.732
H2 H 0.184 0.183 0.307
H3 H 0.377 0.374 0.168
Se1 Se 0.890 0.890 0.248
Se2 Se 0.114 0.114 0.666
O1 O 0.750 0.750 0.480
O2 O 0.039 0.039 0.528
O3 O 0.217 0.790 0.191
O4 O 0.790 0.217 0.191
O5 O 0.812 0.216 0.818
O6 O 0.216 0.812 0.817
O7 O 0.721 0.721 0.859
O8 O 0.278 0.277 0.168
O9 O 0.779 0.779 0.154
O10 O 0.331 0.331 0.820
```